A plane-wave DFT calculation with PBE-GGA was carried out for an optimized crystal structure of RbAgF3.

a = 4.4627 Å, b = 4.4627 Å, c = 4.3878 Å
α = 90.00°, β = 90.00°, γ = 90.00°
With the nearest neighbours (Å) after each atom.
Space group P4/mmm (No. 123)
Symmetry-distinct sites (fractional):
Rb  0.0000  0.0000  0.0000 x1  12 F 3.13-3.16
Ag  0.5000  0.5000  0.5000 x1  6 F 2.19-2.23
F  0.0000  0.5000  0.5000 x2  2 Ag 2.23
F  0.5000  0.5000  0.0000 x1  2 Ag 2.19

ΔE_f   -2.1288 eV/atom
Total energy after the MP2020 corrections   -4.04 eV per atom